Li3SbS4 after structural relaxation, computed with PBE.

Lattice parameters (Å, degrees): 6.4772 6.9209 8.0294 90.00 90.00 90.00
Last column: nearest neighbours and their distance in Å.
Fractional positions:
S (0.6150, 0.3351, 0.7416)  1 Sb 2.37, 3 Li 2.48-2.53
S (0.1293, 0.1801, 0.5000)  1 Sb 2.37, 3 Li 2.43-2.45
S (0.1150, 0.6649, 0.7584)  1 Sb 2.37, 3 Li 2.48-2.53
S (0.6195, 0.8521, 0.5000)  1 Sb 2.37, 3 Li 2.46-2.48
Li (0.4969, 0.6757, 0.2537)  4 S 2.43-2.48
Li (0.0030, 0.8465, 0.5000)  4 S 2.45-2.53
S (0.6150, 0.3351, 0.2584)  1 Sb 2.37, 3 Li 2.48-2.53
Sb (0.4955, 0.1737, 0.5000)  4 S 2.37
S (0.6293, 0.8199, 0.0000)  1 Sb 2.37, 3 Li 2.43-2.45
Li (0.4969, 0.6757, 0.7463)  4 S 2.43-2.48
Sb (0.9955, 0.8263, 0.0000)  4 S 2.37
S (0.1150, 0.6649, 0.2416)  1 Sb 2.37, 3 Li 2.48-2.53
S (0.1195, 0.1479, 0.0000)  1 Sb 2.37, 3 Li 2.46-2.48
Li (0.9969, 0.3243, 0.2463)  4 S 2.43-2.48
Li (0.9969, 0.3243, 0.7537)  4 S 2.43-2.48
Li (0.5030, 0.1535, 0.0000)  4 S 2.45-2.53

Summary:
The volume comes out at 359.9 Å³/cell. The calculation puts the maximum piezoelectric response at 0.3 C/m². The energy of formation comes out at -8.80 eV/f.u. The energy above the most stable polymorph in this dataset comes out at 0 meV/atom. The space-group type is Pmn2_1.

Li3SbS4 after structural relaxation, computed with PBE.

Lattice parameters (Å, degrees): 6.1621 6.1621 6.1621 90.00 90.00 90.00
Last column: nearest neighbours and their distance in Å.
Fractional positions:
S (0.2203, 0.7797, 0.7797)  1 Sb 2.35, 3 Li 2.58
Sb (0.0000, 0.0000, 0.0000)  4 S 2.35
S (0.2203, 0.2203, 0.2203)  1 Sb 2.35, 3 Li 2.58
Li (0.0000, 0.0000, 0.5000)  4 S 2.58
S (0.7797, 0.7797, 0.2203)  1 Sb 2.35, 3 Li 2.58
Li (0.0000, 0.5000, 0.0000)  4 S 2.58
S (0.7797, 0.2203, 0.7797)  1 Sb 2.35, 3 Li 2.58
Li (0.5000, 0.0000, 0.0000)  4 S 2.58

Summary:
The value obtained for the size of the total moment is 0.00 μB per cell. The volume comes out at 234.0 Å³/cell. The calculation puts the maximum piezoelectric response at 0.0 C/m². The energy of formation comes out at -8.23 eV/f.u. The energy above the most stable polymorph in this dataset comes out at 71 meV/atom. The space-group type is P-43m.